! LiMgAsO4 | Materials Project | PBE | optimized geometry; values from VASP
&SYSTEM
  ibrav = 0, nat = 28, ntyp = 4
/
ATOMIC_SPECIES
O 16.00 O.upf
As 74.92 As.upf
Mg 24.30 Mg.upf
Li 6.94 Li.upf
ATOMIC_POSITIONS angstrom
O 2.8693 -1.7077 -3.4214
O 2.6327 -3.9380 -5.2878
As 3.0997 -8.0027 -2.8031
Mg 0.5904 -3.4980 -1.2841
Mg 1.5047 -9.1132 -0.0866
O 1.0180 -3.3926 0.8942
O 2.8054 -6.3484 -3.1786
O 5.4212 -10.1468 -0.5477
As 3.9885 -8.8403 2.1601
Li 0.8783 -5.6536 1.1673
Li 0.0000 0.0000 0.0000
As 1.8398 -2.7565 -4.2918
O 3.0229 -5.2485 1.0468
O 0.8490 -3.8111 -3.3312
O 4.8103 -8.2042 -3.0260
O 2.9590 -9.8892 1.2896
O 0.4071 -1.4501 -1.5841
O 3.1956 -7.6589 3.1560
Mg 5.2379 -8.0989 -0.8476
As 2.7286 -3.5942 0.6713
O 5.0363 -5.9853 -1.1685
O 3.0267 -8.0774 -1.0694
Li 2.9142 -5.7984 -1.0659
O 0.7920 -5.6116 -0.9633
Li 2.0358 -0.1448 -2.2332
Mg 4.3237 -2.4836 -2.0452
O 4.9793 -7.7857 1.1994
O 2.8017 -3.5195 -1.0624
CELL_PARAMETERS angstrom
-2.9302 -3.1289 -2.4683
4.0717 -0.2897 -4.4665
4.6869 -8.1784 4.8030
! ΔE_f: -2.38 eV/atom
! total magnetic moment: 0.0 μB/f.u.

! CeSe2 | Materials Project | PBE | optimized geometry; values from VASP
&SYSTEM
  ibrav = 0, nat = 12, ntyp = 2
/
ATOMIC_SPECIES
Ce 140.12 Ce.upf
Se 78.96 Se.upf
ATOMIC_POSITIONS angstrom
Ce 3.8257 0.1656 0.0000
Se 10.3193 1.9145 0.0000
Ce 0.1655 8.5915 0.0000
Se 1.8448 6.1236 0.0000
Se -0.0850 4.3638 2.8538
Se 6.2936 1.8448 0.0000
Ce 2.3829 6.0430 2.8538
Se 4.2941 4.1108 2.8538
Se -4.1107 4.2941 2.8538
Ce 6.0430 -2.3829 2.8538
Se 1.9145 2.0978 0.0000
Se 4.3638 0.0850 2.8538
CELL_PARAMETERS angstrom
-6.2086 6.2086 2.8538
6.2086 -6.2086 2.8538
6.2086 6.2086 -2.8538
! ΔE_f: -1.73 eV/atom
! total magnetic moment: 0.0 μB/f.u.

! CeAgAs2 | Materials Project | PBE | optimized geometry; values from VASP
&SYSTEM
  ibrav = 0, nat = 8, ntyp = 3
/
ATOMIC_SPECIES
Ag 107.87 Ag.upf
As 74.92 As.upf
Ce 140.12 Ce.upf
ATOMIC_POSITIONS angstrom
Ag 2.0510 2.0510 5.0965
As 2.0510 2.0510 0.0000
As 0.0000 0.0000 0.0000
Ce 2.0510 0.0000 7.9384
As 0.0000 2.0510 7.0179
As 2.0510 0.0000 3.1752
Ce 0.0000 2.0510 2.2546
Ag 0.0000 0.0000 5.0965
CELL_PARAMETERS angstrom
4.1020 0.0000 0.0000
0.0000 4.1020 0.0000
0.0000 0.0000 10.1931
! ΔE_f: -0.79 eV/atom

! BaMg6Mo | Materials Project | PBE | optimized geometry; values from VASP
&SYSTEM
  ibrav = 0, nat = 16, ntyp = 3
/
ATOMIC_SPECIES
Mg 24.30 Mg.upf
Mo 95.94 Mo.upf
Ba 137.33 Ba.upf
ATOMIC_POSITIONS angstrom
Mg -8.4239 -6.3150 5.7892
Mg -4.8822 0.6589 -0.5217
Mg -3.8448 -5.1891 2.4847
Mo -2.7638 -5.0923 5.3863
Mg -2.0230 -0.2754 0.0620
Mg -3.2579 -2.4941 4.0493
Mg -6.5454 -7.0513 3.3257
Mg -0.7720 -0.4277 3.0965
Mg -1.3794 -3.2304 1.5858
Mg -6.6470 -1.3867 3.3574
Mg -5.9380 -4.2486 4.8364
Ba -3.4225 -8.0153 3.9346
Mg -7.1891 -4.0963 1.8019
Ba -4.4600 -2.1673 0.9282
Mo -3.8012 0.7557 2.3799
Mg -5.6095 -7.2347 6.3638
CELL_PARAMETERS angstrom
-0.1775 2.3447 4.6221
-6.2035 2.0271 -1.2666
-4.1286 -9.6689 4.7464
! ΔE_f: 0.40 eV/atom
! energy above the most stable polymorph in this dataset: 1.11 eV per formula unit
! total magnetic moment: 1.7 μB/f.u.

! Ba2In2O5 | Materials Project | PBE | optimized geometry; values from VASP
&SYSTEM
  ibrav = 0, nat = 18, ntyp = 3
/
ATOMIC_SPECIES
Ba 137.33 Ba.upf
In 114.82 In.upf
O 16.00 O.upf
ATOMIC_POSITIONS angstrom
Ba 1.5533 -3.3657 0.3192
In -1.8131 -3.6004 1.3199
O 1.7803 -1.8022 4.0761
O 3.8268 -2.6514 1.5232
In -3.9057 -1.1837 4.2655
O 8.2814 -1.7830 6.6796
Ba 3.0251 -1.3996 6.4035
In 3.1496 -1.0028 2.6638
O 11.1219 -2.3139 9.1332
O 5.3533 -2.9251 6.0099
Ba 5.1242 -4.0331 3.4037
O -2.7720 -2.4455 2.8939
O -6.3146 -2.3820 -2.6606
O -3.4741 -2.9129 -0.2070
O -0.7702 -1.7806 0.7203
Ba -0.5457 -0.7323 3.3190
In 1.2115 -3.8284 4.2961
O -0.8869 -4.8235 -0.2308
CELL_PARAMETERS angstrom
8.4237 -3.6000 2.5232
4.2383 1.2335 8.4143
-8.2454 -2.4479 -4.0382
! ΔE_f: -2.42 eV/atom
! piezoelectric modulus e_max: 0.7 C/m²

! Dy2B6Os | Materials Project | PBE | optimized geometry; values from VASP
&SYSTEM
  ibrav = 0, nat = 36, ntyp = 3
/
ATOMIC_SPECIES
Os 190.23 Os.upf
B 10.81 B.upf
Dy 162.50 Dy.upf
ATOMIC_POSITIONS angstrom
Os -1.3931 -0.1611 1.9699
B -1.9654 -0.4996 -0.3019
B -5.8742 -0.9825 5.2373
B -8.9508 -3.0228 10.2606
B -8.6426 1.5665 8.0056
B -2.2736 -5.0890 1.9531
B -2.2491 -1.9673 0.6724
Dy -1.4373 -6.0460 4.3815
B -7.5322 0.9282 6.7417
Os -2.9045 -3.3643 5.3168
Dy -4.4590 2.8360 4.9658
B -3.3669 -1.5102 2.0188
Dy -3.5778 -5.5173 7.0980
B -6.0674 -4.6725 6.9759
B -4.8488 1.1501 2.9828
B -7.5493 -2.0122 7.9399
B -6.9711 -0.7721 6.6537
B -8.6671 -1.5551 9.2863
Os -6.6436 -2.5202 10.0940
B -4.1195 -5.2771 4.5531
B -3.9451 -2.7503 3.3050
B -3.9310 -7.0866 5.0183
Os -5.1323 0.6830 6.7470
B -6.7967 1.7547 5.4056
B -3.3840 -4.4507 3.2170
Dy -1.3391 -2.8545 2.9721
Dy -3.2318 -0.3870 4.5751
B -5.7660 0.6156 4.4510
B -7.1343 -3.6932 8.0439
B -6.9851 3.5642 4.9404
B -5.0420 -2.5399 4.7214
B -3.7819 0.1708 1.9148
Dy -4.8049 -2.2944 7.4888
B -5.1501 -4.1380 5.5077
Dy -6.5994 3.3647 7.6823
Dy -6.6976 0.1732 9.0917
CELL_PARAMETERS angstrom
-2.8794 -0.8411 -2.1052
-1.0098 -7.9016 4.5382
-7.0270 5.2203 7.5257
! ΔE_f: -0.65 eV/atom